Entry 1:
{
  "formula": "HfMg6W",
  "functional": "GGA-PBE",
  "state": "relaxed",
  "m_tot_mub_per_cell": 0.0,
  "formation_energy_mev_per_atom": 314,
  "lattice_angstrom": [[-2.032, -4.628, -0.073], [4.465, -1.911, -3.111], [5.495, -2.561, 9.460]],
  "species": ["Hf", "Hf", "Mg", "Mg", "Mg", "Mg", "Mg", "Mg", "Mg", "Mg", "Mg", "Mg", "Mg", "Mg", "W", "W"],
  "fractional_positions": [[0.500, 0.500, 0.173], [0.500, 0.000, 0.673], [0.500, 0.250, 0.424], [0.500, 0.750, 0.424], [0.000, 0.758, 0.085], [0.000, 0.242, 0.085], [0.000, 0.000, 0.312], [0.000, 0.500, 0.325], [0.500, 0.750, 0.924], [0.500, 0.250, 0.924], [0.000, 0.258, 0.585], [0.000, 0.742, 0.585], [0.000, 0.500, 0.812], [0.000, 0.000, 0.825], [0.500, 0.000, 0.172], [0.500, 0.500, 0.672]]
}

---

Entry 2:
{
  "formula": "HfMg14W",
  "functional": "GGA-PBE",
  "state": "relaxed",
  "m_tot_mub_per_cell": 0.0,
  "formation_energy_mev_per_atom": 212,
  "lattice_angstrom": [[-1.667, -6.082, 0.119], [5.240, 1.893, 2.957], [-5.290, 1.613, 8.340]],
  "species": ["Hf", "Mg", "Mg", "Mg", "Mg", "Mg", "Mg", "Mg", "Mg", "Mg", "Mg", "Mg", "Mg", "Mg", "Mg", "W"],
  "fractional_positions": [[0.167, 0.333, 0.625], [0.166, 0.833, 0.125], [0.173, 0.836, 0.625], [0.667, 0.334, 0.125], [0.664, 0.327, 0.625], [0.667, 0.833, 0.125], [0.664, 0.836, 0.625], [0.326, 0.174, 0.366], [0.326, 0.174, 0.884], [0.326, 0.653, 0.366], [0.326, 0.653, 0.884], [0.847, 0.174, 0.366], [0.847, 0.174, 0.884], [0.833, 0.667, 0.379], [0.833, 0.667, 0.871], [0.167, 0.333, 0.125]]
}

---

Entry 3:
{
  "formula": "YHfMg6",
  "functional": "GGA-PBE",
  "state": "relaxed",
  "m_tot_mub_per_cell": 0.0,
  "formation_energy_mev_per_atom": 95,
  "lattice_angstrom": [[5.187, 0.000, 0.000], [0.000, 6.527, 0.000], [0.000, 0.000, 11.336]],
  "species": ["Y", "Y", "Hf", "Hf", "Mg", "Mg", "Mg", "Mg", "Mg", "Mg", "Mg", "Mg", "Mg", "Mg", "Mg", "Mg"],
  "fractional_positions": [[0.000, 0.500, 0.332], [0.000, 0.000, 0.832], [0.500, 0.500, 0.164], [0.500, 0.000, 0.664], [0.000, 0.743, 0.085], [0.000, 0.257, 0.085], [0.000, 0.000, 0.335], [0.500, 0.248, 0.417], [0.500, 0.752, 0.417], [0.500, 0.000, 0.165], [0.000, 0.243, 0.585], [0.000, 0.757, 0.585], [0.000, 0.500, 0.835], [0.500, 0.748, 0.917], [0.500, 0.252, 0.917], [0.500, 0.500, 0.665]]
}

---

Entry 4:
{
  "formula": "YHfMg6",
  "functional": "GGA-PBE",
  "state": "relaxed",
  "m_tot_mub_per_cell": 0.0,
  "formation_energy_mev_per_atom": 35,
  "lattice_angstrom": [[3.904, -4.895, 0.000], [3.904, 4.895, 0.000], [0.000, 0.000, 4.890]],
  "species": ["Y", "Hf", "Mg", "Mg", "Mg", "Mg", "Mg", "Mg"],
  "fractional_positions": [[0.500, 0.500, 0.500], [0.000, 0.000, 0.500], [0.500, 0.000, 0.500], [0.000, 0.500, 0.500], [0.760, 0.760, 0.000], [0.240, 0.240, 0.000], [0.755, 0.245, 0.000], [0.245, 0.755, 0.000]]
}

---

no.,energy above the most stable polymorph in this dataset (kJ per mole of atoms),V (Å³/atom)
1,6.6,20.5
2,6.3,21.5
3,5.9,24.0
4,0.0,23.4